[1]
First-principles (GGA-PBE) data for a relaxed HoFeNi crystal, as listed in Materials Project.

a b c (Å): 4.748 5.089 7.414
angles (deg): 90.00 90.00 90.00
Fractional coordinates of all 12 atoms:
Ho: 0.000 0.250 0.120
Ho: 0.000 0.750 0.880
Ho: 0.500 0.250 0.380
Ho: 0.500 0.750 0.620
Fe: 0.250 0.250 0.750
Fe: 0.250 0.750 0.250
Fe: 0.750 0.250 0.750
Fe: 0.750 0.750 0.250
Ni: 0.000 0.000 0.500
Ni: 0.000 0.500 0.500
Ni: 0.500 0.000 0.000
Ni: 0.500 0.500 0.000

Calculated values
- Calculated formation energy: -64 kJ/mol of formula units
- Total moment: 2.0 μB per formula unit

[2]
First-principles (GGA-PBE) data for a relaxed CaMgNi4 crystal, as listed in Materials Project.

a b c (Å): 4.947 4.947 4.947
angles (deg): 60.00 60.00 60.00
Fractional coordinates of all 6 atoms:
Ca: 0.000 0.000 0.000
Mg: 0.750 0.750 0.750
Ni: 0.376 0.376 0.376
Ni: 0.376 0.376 0.873
Ni: 0.376 0.873 0.376
Ni: 0.873 0.376 0.376

Calculated values
- Calculated formation energy: -115 kJ/mol of formula units

[3]
First-principles (GGA-PBE) data for a relaxed Na17Al5O16 crystal, as listed in Materials Project.

a b c (Å): 16.890 16.890 6.035
angles (deg): 95.08 95.08 159.44
Fractional coordinates of all 38 atoms:
Na: 0.021 0.113 0.532
Na: 0.046 0.954 0.000
Na: 0.113 0.021 0.532
Na: 0.138 0.863 0.025
Na: 0.206 0.930 0.554
Na: 0.208 0.759 0.987
Na: 0.324 0.866 0.561
Na: 0.364 0.716 0.148
Na: 0.447 0.623 0.417
Na: 0.536 0.536 0.124
Na: 0.623 0.447 0.417
Na: 0.716 0.364 0.148
Na: 0.759 0.208 0.987
Na: 0.863 0.138 0.025
Na: 0.866 0.324 0.561
Na: 0.930 0.206 0.554
Na: 0.954 0.046 0.000
Al: 0.354 0.714 0.620
Al: 0.443 0.623 0.936
Al: 0.532 0.532 0.607
Al: 0.623 0.443 0.936
Al: 0.714 0.354 0.620
O: 0.000 0.630 0.596
O: 0.061 0.433 0.323
O: 0.157 0.344 0.953
O: 0.247 0.247 0.311
O: 0.327 0.759 0.843
O: 0.344 0.157 0.953
O: 0.404 0.663 0.733
O: 0.433 0.061 0.323
O: 0.490 0.577 0.787
O: 0.577 0.490 0.787
O: 0.630 0.000 0.596
O: 0.663 0.404 0.733
O: 0.723 0.909 0.234
O: 0.759 0.327 0.843
O: 0.815 0.815 0.589
O: 0.909 0.723 0.234

Calculated values
- Calculated formation energy: -8340 kJ/mol of formula units

[4]
First-principles (GGA-PBE) data for a relaxed PmHoRu2 crystal, as listed in Materials Project.

a b c (Å): 6.878 6.878 6.878
angles (deg): 90.00 90.00 90.00
Fractional coordinates of all 16 atoms:
Pm: 0.000 0.000 0.000
Pm: 0.000 0.500 0.500
Pm: 0.500 0.000 0.500
Pm: 0.500 0.500 0.000
Ho: 0.000 0.000 0.500
Ho: 0.000 0.500 0.000
Ho: 0.500 0.000 0.000
Ho: 0.500 0.500 0.500
Ru: 0.250 0.250 0.250
Ru: 0.250 0.250 0.750
Ru: 0.250 0.750 0.250
Ru: 0.250 0.750 0.750
Ru: 0.750 0.250 0.250
Ru: 0.750 0.250 0.750
Ru: 0.750 0.750 0.250
Ru: 0.750 0.750 0.750

Calculated values
- Calculated formation energy: -90 kJ/mol of formula units

[5]
First-principles (GGA-PBE) data for a relaxed Ta2GaNi3 crystal, as listed in Materials Project.

a b c (Å): 4.909 4.909 7.773
angles (deg): 90.00 90.00 120.00
Fractional coordinates of all 12 atoms:
Ta: 0.333 0.667 0.060
Ta: 0.333 0.667 0.440
Ta: 0.667 0.333 0.560
Ta: 0.667 0.333 0.940
Ga: 0.000 0.000 0.000
Ga: 0.000 0.000 0.500
Ni: 0.172 0.344 0.750
Ni: 0.172 0.828 0.750
Ni: 0.344 0.172 0.250
Ni: 0.656 0.828 0.750
Ni: 0.828 0.172 0.250
Ni: 0.828 0.656 0.250

Calculated values
- Calculated formation energy: -180 kJ/mol of formula units
- Total moment: 0.3 μB per formula unit

[6]
First-principles (GGA-PBE) data for a relaxed Na4XeO12 crystal, as listed in Materials Project.

a b c (Å): 7.003 14.576 10.732
angles (deg): 90.00 90.00 90.00
Fractional coordinates of all 68 atoms:
Na: 0.026 0.227 0.130
Na: 0.026 0.273 0.630
Na: 0.058 0.513 0.178
Na: 0.058 0.987 0.678
Na: 0.442 0.013 0.178
Na: 0.442 0.487 0.678
Na: 0.474 0.727 0.130
Na: 0.474 0.773 0.630
Na: 0.526 0.227 0.370
Na: 0.526 0.273 0.870
Na: 0.558 0.513 0.322
Na: 0.558 0.987 0.822
Na: 0.942 0.013 0.322
Na: 0.942 0.487 0.822
Na: 0.974 0.727 0.370
Na: 0.974 0.773 0.870
Xe: 0.000 0.000 0.000
Xe: 0.000 0.500 0.500
Xe: 0.500 0.000 0.500
Xe: 0.500 0.500 0.000
O: 0.101 0.121 0.468
O: 0.101 0.379 0.968
O: 0.135 0.071 0.153
O: 0.135 0.429 0.653
O: 0.179 0.672 0.723
O: 0.179 0.828 0.223
O: 0.183 0.162 0.378
O: 0.183 0.338 0.878
O: 0.221 0.671 0.006
O: 0.221 0.829 0.506
O: 0.245 0.610 0.797
O: 0.245 0.890 0.297
O: 0.255 0.110 0.797
O: 0.255 0.390 0.297
O: 0.279 0.171 0.006
O: 0.279 0.329 0.506
O: 0.317 0.662 0.378
O: 0.317 0.838 0.878
O: 0.321 0.172 0.723
O: 0.321 0.328 0.223
O: 0.365 0.571 0.153
O: 0.365 0.929 0.653
O: 0.399 0.621 0.468
O: 0.399 0.879 0.968
O: 0.601 0.121 0.032
O: 0.601 0.379 0.532
O: 0.635 0.071 0.347
O: 0.635 0.429 0.847
O: 0.679 0.672 0.777
O: 0.679 0.828 0.277
O: 0.683 0.162 0.122
O: 0.683 0.338 0.622
O: 0.721 0.671 0.494
O: 0.721 0.829 0.994
O: 0.745 0.610 0.703
O: 0.745 0.890 0.203
O: 0.755 0.110 0.703
O: 0.755 0.390 0.203
O: 0.779 0.171 0.494
O: 0.779 0.329 0.994
O: 0.817 0.662 0.122
O: 0.817 0.838 0.622
O: 0.821 0.172 0.777
O: 0.821 0.328 0.277
O: 0.865 0.571 0.347
O: 0.865 0.929 0.847
O: 0.899 0.621 0.032
O: 0.899 0.879 0.532

Calculated values
- Calculated formation energy: -472 kJ/mol of formula units
- Energy above the most stable polymorph in this dataset: 0.323 eV per atom
- Total moment: 10.0 μB per formula unit

Number 1: final energy -6.50 eV per atom. Number 2: final energy -4.65 eV per atom. Number 3: final energy -5.15 eV per atom. Number 4: final energy -7.20 eV per atom. Number 5: final energy -7.66 eV per atom. Number 6: final energy -3.98 eV per atom.